No. 1
# PCl5

Crystalline PCl5 at its relaxed geometry (meta-GGA r2SCAN, the Materials Project database).

V: 945.3 Å³ per cell
E_form: -62.8 kJ per mole of atoms
E: -262.01 eV per cell

abc: 14.856 8.345 9.050
angles: 90.00 122.60 90.00
Space group C2/m (No. 12)
Inequivalent atoms, fractional coordinates:
P  0.000  0.000  0.000 [2 per cell]
P  0.235  0.000  0.712 [4 per cell]
Cl  0.000  0.500  0.500 [2 per cell]
Cl  0.041  0.182  0.195 [8 per cell]
Cl  0.147  0.191  0.659 [8 per cell]
Cl  0.148  0.500  0.042 [4 per cell]
Cl  0.162  0.000  0.062 [4 per cell]
Cl  0.204  0.500  0.432 [4 per cell]

No. 2
# PSeCl9

Crystalline PSeCl9 at its relaxed geometry (meta-GGA r2SCAN, the Materials Project database).

V: 2425.2 Å³ per cell
E_form: -51.4 kJ per mole of atoms
E: -676.40 eV per cell

abc: 16.844 12.106 11.893
angles: 90.00 90.00 90.00
Space group Ima2 (No. 46)
Inequivalent atoms, fractional coordinates:
P  0.014  0.226  0.000 [8 per cell]
Se  0.250  0.027  0.711 [4 per cell]
Se  0.250  0.603  0.784 [4 per cell]
Cl  0.048  0.634  0.399 [8 per cell]
Cl  0.056  0.678  0.084 [8 per cell]
Cl  0.073  0.130  0.102 [8 per cell]
Cl  0.088  0.185  0.414 [8 per cell]
Cl  0.107  0.032  0.715 [8 per cell]
Cl  0.107  0.598  0.787 [8 per cell]
Cl  0.250  0.086  0.273 [4 per cell]
Cl  0.250  0.107  0.890 [4 per cell]
Cl  0.250  0.186  0.620 [4 per cell]
Cl  0.250  0.577  0.032 [4 per cell]
Cl  0.250  0.627  0.603 [4 per cell]
Cl  0.250  0.684  0.320 [4 per cell]

No. 3
# SnPCl9

Crystalline SnPCl9 at its relaxed geometry (meta-GGA r2SCAN, the Materials Project database).

V: 1316.8 Å³ per cell
E_form: -84.1 kJ per mole of atoms
Energy relative to the lowest polymorph listed for this composition: 8 meV per atom
E: -394.82 eV per cell

abc: 12.150 16.626 6.518
angles: 90.00 90.00 90.00
Space group Cmme (No. 67)
Inequivalent atoms, fractional coordinates:
Sn  0.000  0.250  0.107 [4 per cell]
P  0.250  0.000  0.500 [4 per cell]
Cl  0.000  0.103  0.105 [8 per cell]
Cl  0.000  0.250  0.744 [4 per cell]
Cl  0.158  0.067  0.672 [16 per cell]
Cl  0.170  0.250  0.278 [8 per cell]

No. 4
# SnPCl9

Crystalline SnPCl9 at its relaxed geometry (meta-GGA r2SCAN, the Materials Project database).

V: 609.3 Å³ per cell
E_form: -84.8 kJ per mole of atoms
Energy relative to the lowest polymorph listed for this composition: 0 meV per atom
E: -197.58 eV per cell

abc: 7.157 9.106 9.632
angles: 100.81 95.77 95.48
Space group P-1 (No. 2)
Inequivalent atoms, fractional coordinates:
Sn  0.114  0.140  0.179 [2 per cell]
P  0.449  0.308  0.722 [2 per cell]
Cl  0.020  0.726  0.622 [2 per cell]
Cl  0.082  0.341  0.053 [2 per cell]
Cl  0.126  0.922  0.286 [2 per cell]
Cl  0.214  0.980  0.948 [2 per cell]
Cl  0.253  0.442  0.731 [2 per cell]
Cl  0.343  0.112  0.614 [2 per cell]
Cl  0.349  0.611  0.372 [2 per cell]
Cl  0.443  0.220  0.257 [2 per cell]
Cl  0.451  0.707  0.087 [2 per cell]

No. 5
# PaCl4

Crystalline PaCl4 at its relaxed geometry (meta-GGA r2SCAN, the Materials Project database).

V: 539.5 Å³ per cell
E_form: -207.4 kJ per mole of atoms
E: -448.86 eV per cell

abc: 8.409 8.409 7.629
angles: 90.00 90.00 90.00
Space group I4_1/amd (No. 141, origin choice 2)
Inequivalent atoms, fractional coordinates:
Pa  0.000  0.250  0.375 [4 per cell]
Cl  0.000  0.062  0.697 [16 per cell]

No. 6
# PbCl4

Crystalline PbCl4 at its relaxed geometry (meta-GGA r2SCAN, the Materials Project database).

V: 323.8 Å³ per cell
E_form: -66.9 kJ per mole of atoms
E: -168.73 eV per cell

abc: 5.486 6.709 10.110
angles: 76.59 74.26 65.92
Space group P-1 (No. 2)
Inequivalent atoms, fractional coordinates:
Pb  0.242  0.250  0.250 [2 per cell]
Cl  0.119  0.187  0.057 [2 per cell]
Cl  0.136  0.687  0.557 [2 per cell]
Cl  0.363  0.569  0.188 [2 per cell]
Cl  0.379  0.070  0.688 [2 per cell]

What did the fourth record say?
# SnPCl9

Crystalline SnPCl9 at its relaxed geometry (meta-GGA r2SCAN, the Materials Project database).

V: 609.3 Å³ per cell
E_form: -84.8 kJ per mole of atoms
Energy relative to the lowest polymorph listed for this composition: 0 meV per atom
E: -197.58 eV per cell

abc: 7.157 9.106 9.632
angles: 100.81 95.77 95.48
Space group P-1 (No. 2)
Inequivalent atoms, fractional coordinates:
Sn  0.114  0.140  0.179 [2 per cell]
P  0.449  0.308  0.722 [2 per cell]
Cl  0.020  0.726  0.622 [2 per cell]
Cl  0.082  0.341  0.053 [2 per cell]
Cl  0.126  0.922  0.286 [2 per cell]
Cl  0.214  0.980  0.948 [2 per cell]
Cl  0.253  0.442  0.731 [2 per cell]
Cl  0.343  0.112  0.614 [2 per cell]
Cl  0.349  0.611  0.372 [2 per cell]
Cl  0.443  0.220  0.257 [2 per cell]
Cl  0.451  0.707  0.087 [2 per cell]

Question: E of number 2 (PSeCl9)?
Answer: -676.40 eV per cell